Density functional theory data (GGA-PBE) for a relaxed K2O crystal.

space-group type: No. 4
largest piezoelectric modulus: 2.5 C/m2
E: -3.320 eV/atom
ρ: 2.4 g cm⁻³

Cell lengths 7.990, 4.108, 4.343 Å; angles 68.07, 90.00, 90.00 degrees
Atoms (fractional coordinates):
K  0.629  0.358  0.408
K  0.883  0.083  0.038
K  0.383  0.917  0.962
O  0.238  0.290  0.242
O  0.738  0.710  0.758
K  0.129  0.642  0.592